(1)
Here is ThCdRh2 after structural relaxation from the Materials Project database. Energies are from PBE-GGA.

Lattice parameters (Å, degrees): 6.834 6.834 6.834 90.00 90.00 90.00
Space group Fm-3m (No. 225)
One atom of each set of equivalent atoms:
Th: 0.000 0.000 0.000 x4
Cd: 0.000 0.000 0.500 x4
Rh: 0.250 0.250 0.250 x8

Properties
Formation enthalpy at 0 K: -59.30 kJ/mol of atoms


(2)
Here is HoBrO after structural relaxation from the Materials Project database. Energies are from PBE-GGA.

Lattice parameters (Å, degrees): 3.833 3.833 8.878 90.00 90.00 90.00
Space group P4/nmm (No. 129, origin choice 2)
One atom of each set of equivalent atoms:
Ho: 0.250 0.250 0.127 x2
Br: 0.250 0.250 0.683 x2
O: 0.250 0.750 0.000 x2

Properties
Formation enthalpy at 0 K: -306.69 kJ/mol of atoms


(3)
Here is CaB2O4 after structural relaxation from the Materials Project database. Energies are from PBE-GGA.

Lattice parameters (Å, degrees): 9.088 9.088 9.088 90.00 90.00 90.00
Space group Pa-3 (No. 205)
One atom of each set of equivalent atoms:
Ca: 0.000 0.000 0.000 x4
Ca: 0.127 0.627 0.873 x8
B: 0.119 0.190 0.345 x24
O: 0.006 0.091 0.282 x24
O: 0.120 0.168 0.768 x24

Properties
M_tot: 0.0 μB/f.u.
Formation enthalpy at 0 K: -297.92 kJ/mol of atoms


(4)
Here is BaAg2Sn2 after structural relaxation from the Materials Project database. Energies are from PBE-GGA.

Lattice parameters (Å, degrees): 4.910 4.910 11.562 90.00 90.00 90.00
Space group I4/mmm (No. 139)
One atom of each set of equivalent atoms:
Ba: 0.000 0.000 0.000 x2
Ag: 0.000 0.500 0.250 x4
Sn: 0.000 0.000 0.374 x4

Properties
Formation enthalpy at 0 K: -38.79 kJ/mol of atoms


(5)
Here is Cs3GaF6 after structural relaxation from the Materials Project database. Energies are from PBE-GGA.

Lattice parameters (Å, degrees): 9.563 9.563 9.563 90.00 90.00 90.00
Space group Fm-3m (No. 225)
One atom of each set of equivalent atoms:
Cs: 0.000 0.000 0.000 x4
Cs: 0.250 0.250 0.250 x8
Ga: 0.000 0.000 0.500 x4
F: 0.000 0.000 0.297 x24

Properties
Formation enthalpy at 0 K: -292.38 kJ/mol of atoms


(6)
Here is K2InBiF6 after structural relaxation from the Materials Project database. Energies are from PBE-GGA.

Lattice parameters (Å, degrees): 9.681 9.681 9.681 90.00 90.00 90.00
Space group Fm-3m (No. 225)
One atom of each set of equivalent atoms:
K: 0.250 0.250 0.250 x8
In: 0.000 0.000 0.000 x4
Bi: 0.000 0.000 0.500 x4
F: 0.000 0.000 0.265 x24

Properties
M_tot: 0.0 μB/f.u.
Formation enthalpy at 0 K: -252.26 kJ/mol of atoms


(7)
Here is SrSi2 after structural relaxation from the Materials Project database. Energies are from PBE-GGA.

Lattice parameters (Å, degrees): 6.564 6.564 6.564 90.00 90.00 90.00
Space group P4_332 (No. 212)
One atom of each set of equivalent atoms:
Sr: 0.125 0.125 0.125 x4
Si: 0.078 0.578 0.922 x8

Properties
Formation enthalpy at 0 K: -30.42 kJ/mol of atoms


(8)
Here is Na2Al2Si3H4O12 after structural relaxation from the Materials Project database. Energies are from PBE-GGA.

Lattice parameters (Å, degrees): 8.722 8.799 16.058 86.71 78.74 64.09
Space group P1 (No. 1)
One atom of each set of equivalent atoms:
Na: 0.000 0.000 0.000 x1
Na: 0.036 0.110 0.382 x1
Na: 0.156 0.516 0.548 x1
Na: 0.231 0.506 0.112 x1
Na: 0.412 0.992 0.351 x1
Na: 0.576 0.987 0.796 x1
Na: 0.686 0.651 0.545 x1
Na: 0.947 0.492 0.021 x1
Al: 0.136 0.794 0.796 x1
Al: 0.141 0.155 0.764 x1
Al: 0.176 0.686 0.346 x1
Al: 0.331 0.085 0.018 x1
Al: 0.655 0.170 0.286 x1
Al: 0.747 0.296 0.811 x1
Al: 0.919 0.996 0.682 x1
Al: 0.933 0.819 0.198 x1
Si: 0.033 0.284 0.175 x1
Si: 0.296 0.778 0.612 x1
Si: 0.337 0.096 0.562 x1
Si: 0.364 0.514 0.888 x1
Si: 0.418 0.622 0.422 x1
Si: 0.526 0.729 0.099 x1
Si: 0.560 0.417 0.983 x1
Si: 0.657 0.563 0.208 x1
Si: 0.702 0.417 0.395 x1
Si: 0.702 0.839 0.958 x1
Si: 0.769 0.857 0.392 x1
Si: 0.961 0.339 0.656 x1
H: 0.011 0.125 0.174 x1
H: 0.056 0.861 0.512 x1
H: 0.178 0.865 0.117 x1
H: 0.223 0.262 0.264 x1
H: 0.233 0.324 0.904 x1
H: 0.475 0.515 0.746 x1
H: 0.503 0.107 0.558 x1
H: 0.538 0.504 0.261 x1
H: 0.686 0.715 0.905 x1
H: 0.693 0.105 0.121 x1
H: 0.696 0.651 0.271 x1
H: 0.735 0.936 0.616 x1
H: 0.752 0.119 0.791 x1
H: 0.821 0.205 0.559 x1
H: 0.863 0.434 0.399 x1
H: 0.868 0.624 0.773 x1
O: 0.016 0.478 0.215 x1
O: 0.022 0.855 0.452 x1
O: 0.082 0.997 0.749 x1
O: 0.095 0.874 0.596 x1
O: 0.098 0.816 0.114 x1
O: 0.161 0.197 0.253 x1
O: 0.170 0.266 0.079 x1
O: 0.184 0.223 0.653 x1
O: 0.196 0.152 0.930 x1
O: 0.215 0.084 0.494 x1
O: 0.217 0.442 0.892 x1
O: 0.261 0.238 0.483 x1
O: 0.262 0.582 0.241 x1
O: 0.270 0.712 0.873 x1
O: 0.282 0.100 0.838 x1
O: 0.284 0.535 0.419 x1
O: 0.318 0.677 0.701 x1
O: 0.319 0.787 0.363 x1
O: 0.360 0.907 0.084 x1
O: 0.389 0.907 0.610 x1
O: 0.393 0.407 0.214 x1
O: 0.401 0.656 0.527 x1
O: 0.424 0.289 0.282 x1
O: 0.521 0.581 0.039 x1
O: 0.525 0.440 0.794 x1
O: 0.528 0.273 0.048 x1
O: 0.539 0.020 0.950 x1
O: 0.639 0.048 0.374 x1
O: 0.652 0.343 0.492 x1
O: 0.660 0.751 0.413 x1
O: 0.698 0.758 0.052 x1
O: 0.699 0.136 0.057 x1
O: 0.721 0.001 0.667 x1
O: 0.744 0.337 0.917 x1
O: 0.752 0.018 0.202 x1
O: 0.768 0.274 0.318 x1
O: 0.807 0.183 0.500 x1
O: 0.821 0.402 0.149 x1
O: 0.845 0.740 0.789 x1
O: 0.862 0.828 0.479 x1
O: 0.872 0.216 0.646 x1
O: 0.905 0.514 0.613 x1
O: 0.905 0.816 0.948 x1
O: 0.932 0.345 0.766 x1
O: 0.932 0.627 0.161 x1
O: 0.940 0.921 0.878 x1
O: 0.956 0.794 0.313 x1
O: 0.992 0.756 0.734 x1

Properties
M_tot: 0.0 μB/f.u.
Formation enthalpy at 0 K: -187.89 kJ/mol of atoms